1.
# Li5Fe3O8

A relaxed structure of Li5Fe3O8 (PBE+U, the Materials Project database).

Crystal system: monoclinic
E in eV/atom: -5.737

```
Li5Fe3O8
1.0
5.814 0.000 0.000
0.000 9.902 0.000
-2.856 0.000 5.078
Li Fe O
10 6 16
direct
0.158 0.000 0.329
0.161 0.014 0.821
0.170 0.748 0.340
0.336 0.519 0.179
0.338 0.515 0.672
0.662 0.015 0.328
0.664 0.019 0.821
0.830 0.248 0.660
0.839 0.514 0.179
0.842 0.500 0.671
0.168 0.754 0.838
0.330 0.253 0.162
0.330 0.254 0.659
0.670 0.753 0.838
0.670 0.754 0.341
0.832 0.254 0.162
0.001 0.144 0.482
0.005 0.642 0.987
0.170 0.375 0.324
0.180 0.363 0.826
0.330 0.862 0.688
0.339 0.861 0.161
0.477 0.141 0.495
0.494 0.134 0.000
0.506 0.634 0.000
0.523 0.641 0.505
0.661 0.361 0.839
0.670 0.362 0.312
0.820 0.863 0.174
0.830 0.875 0.676
0.995 0.142 0.013
0.999 0.644 0.518
```


2.
# Li15Fe4O16

A relaxed structure of Li15Fe4O16 (PBE+U, the Materials Project database).

Crystal system: monoclinic
E in eV/atom: -5.275

```
Li15Fe4O16
1.0
9.167 0.000 0.000
0.000 9.271 0.000
-0.077 0.000 9.385
Li Fe O
30 8 32
direct
0.000 0.098 0.000
0.000 0.902 0.500
0.233 0.380 0.495
0.233 0.620 0.995
0.265 0.129 0.980
0.265 0.871 0.480
0.276 0.373 0.772
0.276 0.627 0.272
0.467 0.131 0.509
0.467 0.869 0.009
0.483 0.366 0.288
0.483 0.634 0.788
0.495 0.102 0.767
0.495 0.898 0.267
0.533 0.137 0.030
0.533 0.863 0.530
0.543 0.365 0.741
0.543 0.635 0.241
0.703 0.136 0.241
0.703 0.864 0.741
0.737 0.367 0.531
0.737 0.633 0.031
0.754 0.393 0.274
0.754 0.607 0.774
0.770 0.132 0.784
0.770 0.868 0.284
0.781 0.368 0.003
0.781 0.632 0.503
0.980 0.135 0.280
0.980 0.865 0.780
0.258 0.110 0.261
0.258 0.890 0.761
0.493 0.405 0.015
0.493 0.595 0.515
0.756 0.097 0.514
0.756 0.903 0.014
0.995 0.386 0.759
0.995 0.614 0.259
0.110 0.489 0.858
0.110 0.511 0.358
0.111 0.296 0.653
0.111 0.704 0.153
0.132 0.181 0.136
0.132 0.819 0.636
0.137 0.011 0.374
0.137 0.989 0.874
0.351 0.235 0.379
0.351 0.765 0.879
0.392 0.476 0.636
0.392 0.524 0.136
0.393 0.029 0.140
0.393 0.971 0.640
0.413 0.260 0.891
0.413 0.740 0.391
0.623 0.296 0.134
0.623 0.704 0.634
0.628 0.499 0.397
0.628 0.501 0.897
0.633 0.008 0.896
0.633 0.992 0.396
0.635 0.209 0.635
0.635 0.791 0.135
0.824 0.231 0.390
0.824 0.769 0.890
0.848 0.023 0.138
0.848 0.977 0.638
0.869 0.481 0.659
0.869 0.519 0.159
0.905 0.266 0.870
0.905 0.734 0.370
```


3.
# LiFeO2

A relaxed structure of LiFeO2 (PBE+U, the Materials Project database).

Crystal system: tetragonal
E in eV/atom: -6.086

```
LiFeO2
1.0
-2.061 2.061 4.377
2.061 -2.061 4.377
2.061 2.061 -4.377
Li Fe O
2 2 4
direct
0.375 0.625 0.750
0.625 0.375 0.250
0.125 0.875 0.250
0.875 0.125 0.750
0.107 0.357 0.750
0.357 0.107 0.250
0.643 0.893 0.750
0.893 0.643 0.250
```